# 1
RbMgMn4O8: relaxed, GGA+U.

distance to the lowest polymorph of the same formula	70	meV per atom
space group	P1

abc: 3.1842 7.3486 7.5667
angles: 91.24 96.55 98.46
Last column: nearest neighbours and their distance in Å.
Sites, in units of the cell vectors:
1 Rb 0.0000 0.0000 0.0000  4 O 2.70-2.85
2 Mg 0.6069 0.2656 0.7082  4 O 1.90-1.99
3 Mn 0.2106 0.5861 0.7877  4 O 1.91-2.06
4 Mn 0.2338 0.2222 0.3906  5 O 1.90-2.07
5 Mn 0.6079 0.8640 0.4718  5 O 1.95-2.14
6 Mn 0.8543 0.5615 0.1490  6 O 1.93-2.08
7 O 0.1055 0.3729 0.5991  2 Mg 1.94-1.99, 2 Mn 2.02-2.06
8 O 0.2937 0.0374 0.5898  1 Mg 1.96, 2 Mn 1.99-2.06
9 O 0.3187 0.4153 0.2292  3 Mn 1.90-2.04
10 O 0.3740 0.6940 0.0353  3 Mn 2.00-2.08
11 O 0.6362 0.0803 0.2992  3 Mn 1.94-2.08
12 O 0.6840 0.7241 0.6926  2 Mn 1.91-1.99
13 O 0.7727 0.4277 0.9120  1 Mg 1.90, 2 Mn 2.00-2.01
14 O 0.9917 0.7388 0.3466  3 Mn 1.93-2.14



# 2
RbMgMn4O8: relaxed, GGA+U.

distance to the lowest polymorph of the same formula	45	meV per atom
space group	Cm

abc: 7.6785 7.6785 9.9660
angles: 123.92 123.92 22.20
Last column: nearest neighbours and their distance in Å.
Sites, in units of the cell vectors:
1 Rb 0.0000 0.0000 0.0000  5 O 2.67-2.90, 2 Rb 2.96
2 Mg 0.7893 0.7893 0.2825  4 O 1.97-2.02
3 Mn 0.1828 0.1828 0.9008  5 O 1.95-2.13
4 Mn 0.4135 0.4135 0.6103  5 O 1.94-2.14
5 Mn 0.7403 0.7403 0.6391  6 O 1.93-2.13
6 Mn 0.9879 0.9879 0.3304  5 O 1.90-2.11
7 O 0.0134 0.0134 0.7208  3 Mn 1.94-2.13
8 O 0.1425 0.1425 0.5316  3 Mn 1.93-2.03
9 O 0.3416 0.3416 0.7439  3 Mn 1.95-2.14
10 O 0.3998 0.3998 0.3588  2 Mg 2.02, 2 Mn 2.11
11 O 0.5077 0.5077 0.2295  2 Mn 1.90
12 O 0.6885 0.6885 0.0432  1 Mg 1.97, 2 Mn 2.02
13 O 0.7255 0.7255 0.8223  3 Mn 1.95-1.96
14 O 0.8010 0.8010 0.4916  1 Mg 1.99, 3 Mn 2.04-2.13



# 3
RbMgMn4O8: relaxed, GGA+U.

distance to the lowest polymorph of the same formula	30	meV per atom
space group	P1

abc: 3.0187 7.5369 7.5864
angles: 79.11 79.57 82.56
Last column: nearest neighbours and their distance in Å.
Sites, in units of the cell vectors:
1 Rb 0.0000 0.0000 0.0000  5 O 2.64-2.85
2 Mg 0.6740 0.2479 0.2784  5 O 2.00-2.16
3 Mn 0.0185 0.2743 0.6115  5 O 1.95-2.09
4 Mn 0.2556 0.5684 0.8937  6 O 1.96-2.07
5 Mn 0.4767 0.6057 0.2618  5 O 1.90-2.05
6 Mn 0.7441 0.8963 0.5336  5 O 1.92-2.13
7 O 0.1709 0.0755 0.3754  2 Mg 2.00-2.07, 1 Mn 2.05
8 O 0.1974 0.4231 0.1555  2 Mg 2.05-2.16, 2 Mn 2.05-2.07
9 O 0.2588 0.7637 0.6751  3 Mn 1.92-2.09
10 O 0.5242 0.4043 0.4745  3 Mn 1.95-2.02, 1 Mg 2.02
11 O 0.5547 0.1063 0.6934  3 Mn 1.95-2.13
12 O 0.6473 0.6979 0.9951  3 Mn 1.96-2.06
13 O 0.8380 0.4281 0.8207  3 Mn 1.96-2.09
14 O 0.8657 0.7493 0.3316  3 Mn 1.90-2.05



# 4
RbMgMn4O8: relaxed, GGA+U.

distance to the lowest polymorph of the same formula	0	meV per atom
space group	C2/m

abc: 7.5395 7.5395 10.4985
angles: 133.22 133.22 23.91
Last column: nearest neighbours and their distance in Å.
Sites, in units of the cell vectors:
1 Rb 0.0000 0.0000 0.0000  10 O 3.07-3.34, 2 Rb 3.12
2 Mg 0.0000 0.0000 0.5000  6 O 1.97-2.12
3 Mn 0.1529 0.1529 0.8390  4 O 1.93-2.01
4 Mn 0.3328 0.3328 0.4953  6 O 1.94-2.10
5 Mn 0.6672 0.6672 0.5047  6 O 1.94-2.10
6 Mn 0.8471 0.8471 0.1610  4 O 1.93-2.01
7 O 0.0362 0.0362 0.3514  1 Mg 1.97, 3 Mn 1.99-2.10
8 O 0.2881 0.2881 0.6309  3 Mn 1.94-2.02
9 O 0.3363 0.3363 0.0297  3 Mn 1.93-2.01
10 O 0.3665 0.3665 0.3408  1 Mn 2.00, 2 Mg 2.12
11 O 0.6335 0.6335 0.6592  1 Mn 2.00, 2 Mg 2.12
12 O 0.6637 0.6637 0.9703  3 Mn 1.93-2.01
13 O 0.7119 0.7119 0.3691  3 Mn 1.94-2.02
14 O 0.9638 0.9638 0.6486  1 Mg 1.97, 3 Mn 1.99-2.10



DFT total energy readings, ordered: -93.9, -94.2, -94.4, -94.9 eV for the cell shown